# 1
First-principles (PBE-GGA) data for a geometry-optimized Dy2Fe15Si2CN structure, as listed in Materials Project.

## Properties
ΔE_f	-198	meV/atom

a b c (Å): 6.4508 6.4676 6.4746
angles (deg): 82.84 82.31 82.69
Closest atoms and distances in Å follow each position.
Space group P-1 (No. 2)
Unique sites:
1 Dy 0.1597 0.1571 0.1498 x2  1 N 2.43, 1 C 2.51
2 Fe 0.0000 0.5000 0.5000 x1  8 Fe 2.44-2.46, 2 Si 2.59
3 Fe 0.1539 0.1579 0.6474 x2  1 C 1.92
4 Fe 0.1557 0.6457 0.1574 x2  8 Fe 2.44-2.62, 1 Si 2.62
5 Fe 0.2071 0.5012 0.7921 x2  8 Fe 2.45-2.62
6 Fe 0.2159 0.7827 0.5022 x2  1 C 1.85
7 Fe 0.3512 0.8419 0.8456 x2  1 N 1.93
8 Fe 0.4984 0.7799 0.2211 x2  1 N 1.89
9 Fe 0.5000 0.0000 0.5000 x1  8 Fe 2.44-2.47, 2 Si 2.60
10 Fe 0.5000 0.5000 0.0000 x1  8 Fe 2.44-2.46, 2 Si 2.60
11 Si 0.3987 0.3990 0.3994 x2  1 Si 2.54, 12 Fe 2.59-2.79
12 C 0.0000 0.0000 0.5000 x1  4 Fe 1.85-1.92
13 N 0.5000 0.0000 0.0000 x1  4 Fe 1.89-1.93


# 2
First-principles (PBE-GGA) data for a geometry-optimized NdDyFe14C structure, as listed in Materials Project.

## Properties
ΔE_f	-35	meV/atom

a b c (Å): 8.7454 8.7454 11.8251
angles (deg): 90.00 90.00 90.00
Closest atoms and distances in Å follow each position.
Space group P4_2/mnm (No. 136)
Unique sites:
1 Nd 0.2430 0.2430 0.0000 x4  16 Fe 2.99-3.27
2 Dy 0.1470 0.1470 0.5000 x4  1 C 2.81, 6 Fe 2.98-3.02
3 Fe 0.0000 0.0000 0.1085 x4  2 C 2.02
4 Fe 0.0000 0.5000 0.0000 x4  8 Fe 2.44-2.51
5 Fe 0.0339 0.6414 0.3237 x16  10 Fe 2.38-2.63
6 Fe 0.0645 0.7264 0.1212 x16  1 C 2.00
7 Fe 0.0966 0.9034 0.2958 x8  8 Fe 2.38-2.65
8 Fe 0.1852 0.1852 0.2476 x8  12 Fe 2.60-2.82
9 C 0.1259 0.8741 0.0000 x4  6 Fe 2.00-2.02


Q: Which of these has the lowest ΔE_f?
A: Dy2Fe15Si2CN


Q: Look up the ΔE_f of the first one.
A: -198 meV/atom